A plane-wave DFT calculation with PBE-GGA was carried out for TbCuSe2 after structural relaxation.

POSCAR file:
```
TbCuSe2
1.0
6.619 0.000 0.000
0.000 7.342 0.000
-0.751 0.000 7.061
Tb Cu Se
4 4 8
Direct
0.196 0.042 0.299 Tb
0.196 0.458 0.799 Tb
0.804 0.542 0.201 Tb
0.804 0.958 0.701 Tb
0.426 0.659 0.455 Cu
0.426 0.841 0.955 Cu
0.574 0.159 0.045 Cu
0.574 0.341 0.545 Cu
0.071 0.724 0.497 Se
0.071 0.776 0.997 Se
0.400 0.112 0.718 Se
0.400 0.388 0.218 Se
0.600 0.612 0.782 Se
0.600 0.888 0.282 Se
0.929 0.224 0.003 Se
0.929 0.276 0.503 Se
```

- E: -5.15 eV/atom
- DFT formation energy: -1.454 eV per atom